# Na7SnS3O12F3

A relaxed structure of Na7SnS3O12F3 (meta-GGA r2SCAN, the Materials Project database).

- calculated volume (Å³ per cell) = 652
- energy of formation (kJ/mol of atoms) = -203.75

The structure in POSCAR format:
```
Na7SnS3O12F3
1.0
10.718 0.000 0.000
-5.359 9.282 0.000
0.000 0.000 6.551
Na Sn S O F
14 2 6 24 6
Cartesian
0.000 0.000 0.000 Na
0.000 0.000 3.275 Na
-2.191 4.923 6.045 Na
0.000 3.207 1.371 Na
-2.582 7.678 1.371 Na
2.777 1.603 4.647 Na
2.191 4.923 6.045 Na
0.000 8.718 6.045 Na
5.359 0.564 2.769 Na
3.168 4.359 2.769 Na
2.582 7.678 1.371 Na
7.941 1.603 4.647 Na
5.359 6.075 4.647 Na
7.550 4.359 2.769 Na
0.000 6.188 2.927 Sn
5.359 3.094 6.203 Sn
0.000 3.138 4.558 S
-2.641 7.713 4.558 S
2.718 1.569 1.283 S
2.641 7.713 4.558 S
8.000 1.569 1.283 S
5.359 6.144 1.283 S
-1.205 3.401 3.741 O
-3.016 6.538 3.741 O
0.000 1.715 4.968 O
-3.874 8.424 4.968 O
1.485 0.858 1.692 O
0.000 4.025 5.734 O
-1.873 7.269 5.734 O
1.205 3.401 3.741 O
-1.811 8.625 3.741 O
3.548 0.657 0.466 O
2.343 2.744 0.466 O
3.486 2.013 2.458 O
1.873 7.269 5.734 O
3.016 6.538 3.741 O
1.811 8.625 3.741 O
7.170 0.657 0.466 O
4.154 5.881 0.466 O
7.232 2.013 2.458 O
5.359 5.257 2.458 O
3.874 8.424 4.968 O
9.232 0.858 1.692 O
5.359 7.567 1.692 O
8.375 2.744 0.466 O
6.564 5.881 0.466 O
-1.401 5.379 1.595 F
1.401 5.379 1.595 F
0.000 7.806 1.595 F
5.359 1.476 4.871 F
3.957 3.903 4.871 F
6.760 3.903 4.871 F
```